Density functional theory data (PBE with a Hubbard U) for a relaxed structure of NaCa3MgFeSi4O14.

The structure in POSCAR format:
```
NaCa3MgFeSi4O14
1.0
-0.561 1.455 -4.839
-7.733 1.085 1.120
1.291 7.565 2.013
Na Ca Mg Fe Si O
1 3 1 1 4 14
Cartesian
-6.213 4.147 -0.844
-2.747 2.464 -1.647
-0.724 5.863 -0.984
-4.333 7.729 0.040
-3.786 5.782 -3.272
-0.010 0.012 -0.015
-5.255 3.070 -3.568
-0.687 3.000 0.590
-2.181 8.217 -2.406
-5.870 5.909 1.973
-4.826 1.976 -0.298
-1.205 4.030 -2.698
-1.747 7.183 0.886
-6.287 7.072 -1.291
-4.503 4.114 -2.581
-0.605 1.747 -0.492
-2.729 6.748 -1.951
-6.245 7.507 1.620
-4.591 5.599 1.020
-0.649 8.293 -1.761
-2.005 3.854 0.112
-6.658 2.607 -2.817
-7.159 5.099 1.269
-3.022 9.240 -1.364
```

- E (MP2020) (eV per atom) = -7.64
- energy of formation from the pure elements (meV/atom) = -3120.9
- space group = P1, No. 1
- energy above the most stable polymorph in this dataset (eV/atom) = 0.000


Density functional theory data (PBE with a Hubbard U) for a relaxed structure of CaMgFeP2O13.

The structure in POSCAR format:
```
CaMgFeP2O13
1.0
-9.371 -6.781 -11.187
-5.335 -13.118 12.421
-5.332 4.065 2.003
Ca Mg Fe P O
8 8 8 16 104
Cartesian
-7.601 -5.632 -2.025
-5.273 -0.389 4.420
-9.789 -12.277 4.300
-17.415 -13.370 -0.222
-12.438 -10.202 5.261
-14.766 -15.446 -1.183
-10.250 -3.557 -1.064
-2.624 -2.464 3.459
-12.822 -7.968 0.523
-8.012 -13.071 11.160
-7.276 0.577 -2.354
-11.968 -11.207 -2.855
-7.217 -7.867 2.714
-12.027 -2.763 -7.923
-12.763 -16.411 5.591
-8.071 -4.627 6.091
-9.793 -7.449 -4.917
-7.802 -1.987 1.677
-7.585 -10.431 7.166
-14.898 -11.801 2.548
-10.246 -8.385 8.154
-12.237 -13.847 1.560
-12.454 -5.403 -3.929
-5.141 -4.033 0.688
-10.237 -10.548 -5.569
-9.707 -0.589 -0.476
-8.191 -9.915 10.263
-11.942 -10.616 2.257
-9.801 -5.286 8.806
-10.332 -15.245 3.713
-11.848 -5.919 -7.026
-8.097 -5.218 0.980
-13.010 -4.885 -0.848
-2.213 -2.836 0.438
-10.724 -11.449 7.485
-14.129 -12.498 -0.601
-7.028 -10.949 4.085
-17.826 -12.998 2.799
-9.314 -4.385 -4.248
-5.909 -3.336 3.838
-14.034 -6.572 -3.431
-4.803 -3.764 -1.292
-9.566 -9.430 9.753
-11.674 -11.903 1.444
-6.005 -9.262 6.668
-15.235 -12.071 4.529
-10.472 -6.404 -6.516
-8.365 -3.932 1.793
-10.761 -9.062 -5.605
-8.838 -1.825 -0.029
-7.152 -10.133 9.098
-13.326 -10.648 3.009
-9.278 -6.772 8.842
-11.201 -14.009 3.265
-12.887 -5.701 -5.861
-6.712 -5.186 0.228
-16.049 -7.048 -4.931
-5.603 -5.325 -3.153
-7.501 -8.833 11.138
-10.924 -10.462 3.420
-3.989 -8.787 8.168
-14.436 -10.509 6.390
-12.537 -7.001 -7.901
-9.115 -5.372 -0.183
-10.901 -11.291 -4.393
-8.906 0.254 -1.489
-8.366 -11.235 11.040
-11.904 -9.396 1.315
-9.137 -4.543 7.629
-11.133 -16.088 4.726
-11.672 -4.599 -7.803
-8.135 -6.438 1.922
-11.977 -5.025 -2.023
-3.566 -2.927 1.232
-11.208 -9.958 7.381
-13.326 -13.758 -0.116
-8.061 -10.809 5.260
-16.473 -12.907 2.005
-8.830 -5.876 -4.144
-6.713 -2.076 3.353
-9.078 -8.509 -3.325
-7.262 -0.020 1.582
-9.198 -11.579 7.664
-14.539 -11.560 0.553
-10.961 -7.325 6.562
-12.776 -15.814 1.655
-10.841 -4.255 -4.427
-5.500 -4.274 2.684
-7.026 -7.868 -1.947
-6.491 1.381 3.573
-11.182 -12.055 6.129
-15.377 -13.126 -1.282
-13.012 -7.967 5.183
-13.547 -17.215 -0.336
-8.856 -3.779 -2.892
-4.662 -2.708 4.518
-13.123 -6.236 -0.117
-2.247 -1.592 -0.469
-11.436 -12.125 8.672
-13.271 -11.716 -1.613
-6.916 -9.598 3.354
-17.791 -14.242 3.705
-8.603 -3.709 -5.435
-6.768 -4.118 4.849
-11.338 -6.936 -3.954
-6.273 -2.512 0.694
-6.445 -11.940 7.146
-16.021 -10.279 2.588
-8.701 -8.898 7.191
-13.766 -13.322 2.542
-13.593 -3.894 -3.909
-4.017 -5.555 0.649
-14.652 -8.951 -0.424
-8.672 -13.890 9.134
-5.773 0.754 -0.644
-10.980 -9.582 -1.591
-5.387 -6.883 3.661
-11.366 -1.944 -5.897
-14.265 -16.588 3.881
-9.059 -6.252 4.828
-11.723 -5.696 2.503
-9.683 -6.498 -10.293
-13.377 -13.995 7.312
-5.294 -5.479 6.952
-8.315 -10.138 0.734
-10.356 -9.336 13.530
-6.662 -1.839 -4.075
-14.744 -10.355 -3.716
-11.271 -8.424 -1.244
-4.830 0.068 -0.213
-8.101 -14.358 8.133
-15.876 -8.954 -0.202
-8.768 -7.410 4.481
-15.208 -15.902 3.450
-11.938 -1.476 -4.897
-4.163 -6.880 3.439
-8.593 -11.280 0.336
-11.149 -8.968 12.649
-6.730 -1.549 -2.870
-13.604 -9.870 -3.642
-11.445 -4.554 2.901
-8.890 -6.866 -9.412
-13.308 -14.285 6.107
-6.434 -5.964 6.879
```

- E (MP2020) (eV per atom) = -6.56
- energy of formation from the pure elements (meV/atom) = -1719.1
- space group = Pbca, No. 61


Density functional theory data (PBE with a Hubbard U) for a relaxed structure of CaMnFeO5.

The structure in POSCAR format:
```
CaMnFeO5
1.0
5.416 0.000 0.000
0.000 5.661 0.000
0.000 0.000 13.998
Ca Mn Fe O
4 4 4 20
Cartesian
4.031 5.436 11.859
1.323 3.055 2.139
1.385 2.606 9.138
4.093 0.224 4.860
4.055 2.706 10.553
1.347 0.124 3.445
1.361 5.537 10.444
4.069 2.954 3.554
4.356 3.296 7.022
1.648 5.195 6.976
1.060 0.465 13.975
3.768 2.365 0.023
2.685 1.395 10.776
5.393 1.435 3.222
2.731 4.226 10.221
0.023 4.265 3.777
5.399 4.215 10.271
2.691 4.276 3.727
0.017 1.384 10.726
2.725 1.446 3.272
3.922 2.505 8.627
1.214 0.325 5.371
1.494 5.336 12.370
4.201 3.155 1.628
4.123 3.186 12.415
1.415 5.305 1.583
1.293 0.356 8.582
4.001 2.474 5.416
3.501 4.941 6.856
0.793 3.550 7.142
1.915 2.110 0.143
4.623 0.720 13.855
```

- E (MP2020) (eV per atom) = -7.44
- energy of formation from the pure elements (meV/atom) = -1895.3
- space group = P2_12_12_1, No. 19


Density functional theory data (PBE with a Hubbard U) for a relaxed structure of Ca3Mn2Fe2O10.

The structure in POSCAR format:
```
Ca3Mn2Fe2O10
1.0
5.417 0.000 0.000
0.000 5.620 0.000
0.000 5.280 14.411
Ca Mn Fe O
6 4 4 20
Cartesian
1.439 7.915 12.810
4.139 5.607 8.783
1.299 2.824 5.823
1.278 2.967 1.578
3.978 5.275 5.605
4.118 5.464 13.029
1.384 5.608 0.084
4.033 8.248 7.289
4.079 2.846 0.088
1.338 5.486 7.293
1.650 4.883 10.768
4.379 8.582 10.788
3.766 2.243 3.563
1.038 5.942 3.582
0.061 1.501 0.111
2.724 6.857 6.920
0.068 9.447 14.120
2.767 4.151 7.372
2.693 9.497 14.125
5.355 4.142 7.317
2.650 1.511 0.166
5.349 6.807 6.915
1.271 5.633 12.462
3.971 7.852 9.133
4.205 3.095 1.956
1.471 5.123 5.224
1.446 5.212 1.927
4.146 2.993 5.256
3.946 7.763 12.430
1.212 5.735 9.162
0.831 8.828 10.857
3.591 4.727 10.837
4.586 6.188 3.651
1.826 2.087 3.631
```

- E (MP2020) (eV per atom) = -7.60
- energy of formation from the pure elements (meV/atom) = -2264.0
- space group = Pc, No. 7


Density functional theory data (PBE with a Hubbard U) for a relaxed structure of Ca2MnFeO5.

The structure in POSCAR format:
```
Ca2MnFeO5
1.0
-5.261 -0.312 1.338
0.395 -5.628 0.240
3.677 0.884 14.667
Ca Mn Fe O
8 4 4 20
Cartesian
0.504 -2.875 1.745
-0.909 -5.294 6.670
0.761 0.487 13.724
-2.733 -2.432 10.351
-1.693 -2.182 14.500
-0.279 0.237 9.575
-1.950 -5.544 2.521
1.545 -2.625 5.894
0.000 0.000 0.000
-0.594 -2.528 8.123
-2.433 -2.970 0.789
1.838 0.442 7.334
0.671 -0.170 3.753
-1.815 -2.391 4.510
0.626 -2.666 11.736
-1.859 -4.887 12.493
0.012 -3.664 15.615
0.908 -3.761 8.065
-3.820 -1.710 1.306
0.523 -0.979 7.504
-1.201 -1.393 0.630
-2.097 -1.296 8.180
2.631 -3.347 14.940
-1.711 -4.078 8.741
-4.202 -5.384 3.611
-0.922 -3.065 6.004
0.522 -1.802 13.388
2.225 0.138 9.488
3.014 0.327 12.635
-0.267 -1.992 10.241
-1.710 -3.255 2.858
-3.413 -5.195 6.757
-3.718 -2.220 4.977
-1.193 -0.564 4.244
0.004 -4.492 12.001
2.530 -2.837 11.269
```

- E (MP2020) (eV per atom) = -7.67
- energy of formation from the pure elements (meV/atom) = -2517.4
- space group = Pnma, No. 62


Density functional theory data (PBE with a Hubbard U) for a relaxed structure of CaMn25FeSi4SbO44.

The structure in POSCAR format:
```
CaMn25FeSi4SbO44
1.0
6.204 -0.230 2.744
-4.205 12.357 2.149
-4.601 2.189 10.590
Ca Mn Fe Si Sb O
1 25 1 4 1 44
Cartesian
-3.403 13.331 8.813
-6.112 13.942 10.784
-0.695 12.729 6.848
-0.303 13.200 10.191
-1.497 2.094 11.959
-3.003 13.827 12.159
-3.804 12.845 5.473
-6.653 8.349 11.616
-1.353 7.175 7.789
-0.900 7.645 11.074
-1.701 6.673 4.407
-3.601 8.236 12.965
-4.402 7.288 6.440
-4.207 12.357 2.155
-0.864 3.815 6.450
-0.051 4.810 13.118
2.254 3.698 7.829
-3.156 4.926 11.745
-3.555 4.425 8.411
1.853 3.218 4.476
-1.744 10.467 9.032
-2.547 9.540 2.365
-4.855 10.581 7.656
0.553 9.426 3.737
0.955 9.903 7.069
-4.456 11.084 11.007
-4.002 7.765 9.703
-1.382 10.640 12.416
-2.188 9.665 5.760
-1.213 3.672 3.051
-0.420 4.655 9.739
1.400 6.551 5.781
0.259 6.720 12.797
-0.492 5.773 6.111
-3.007 6.844 11.351
2.376 5.663 7.381
2.000 5.238 4.312
-3.387 6.361 8.194
-2.923 7.578 2.704
-2.050 8.556 9.355
0.435 7.458 4.187
-5.007 8.664 8.048
-4.625 9.148 11.226
0.807 7.876 7.234
-1.560 9.030 12.683
-2.359 8.045 6.009
-1.045 5.294 2.809
-0.239 6.262 9.464
4.036 0.691 2.866
-1.430 1.878 6.805
1.423 0.787 1.712
2.252 1.744 8.433
1.783 1.158 4.462
-3.651 2.408 8.459
-6.613 13.676 12.609
-1.192 12.390 8.684
-4.031 13.577 13.752
-4.850 12.525 7.066
-4.383 13.105 11.013
1.047 11.968 7.034
1.045 3.267 6.311
-4.361 4.408 10.230
1.771 9.961 5.226
-3.657 11.006 9.194
-6.593 11.525 10.825
-1.206 10.309 6.928
-0.712 10.889 10.918
-1.519 9.935 4.270
-2.862 11.386 12.477
-3.670 10.401 5.837
4.011 2.799 4.624
-1.418 4.000 8.587
-1.881 3.397 4.538
-1.091 4.410 11.239
0.270 2.937 2.971
1.060 3.908 9.681
```

- E (MP2020) (eV per atom) = -8.59
- energy of formation from the pure elements (meV/atom) = -2229.0
- space group = Cm, No. 8


Density functional theory data (PBE with a Hubbard U) for a relaxed structure of Ca4MnFe3Si10O30.

The structure in POSCAR format:
```
Ca4MnFe3Si10O30
1.0
4.614 3.718 3.137
-1.023 -4.559 5.888
8.116 -5.664 -6.530
Ca Mn Fe Si O
4 1 3 10 30
Cartesian
4.073 1.872 3.577
7.669 -8.412 -1.076
6.360 -3.617 3.604
5.341 -2.874 -1.079
6.749 -0.373 3.013
9.009 -5.688 3.152
2.671 -0.839 -0.670
4.967 -6.141 -0.530
7.965 -1.097 -0.006
3.763 -5.435 2.503
7.686 -4.186 0.483
4.006 -2.329 2.016
9.969 -6.167 0.103
1.736 -0.322 2.404
4.714 -0.720 5.674
6.988 -5.783 -3.187
5.460 0.866 0.369
6.230 -7.337 2.131
5.558 -1.822 2.199
6.140 -4.706 0.277
5.878 1.250 1.908
5.751 -7.645 0.578
8.477 -0.933 1.551
3.362 -5.680 0.935
8.153 -3.915 2.055
3.544 -2.596 0.438
7.582 -2.679 -0.251
4.102 -3.841 2.739
8.892 -0.495 -1.181
2.802 -6.049 3.649
3.203 -0.052 5.751
8.500 -6.445 -3.241
5.489 0.076 4.493
6.203 -6.543 -1.975
7.675 -6.696 2.252
4.038 0.177 0.186
8.805 -5.057 -0.286
2.902 -1.431 2.781
1.415 -1.972 6.223
10.299 -4.519 -3.717
4.729 -2.356 5.304
6.972 -4.142 -2.852
10.364 -6.025 1.708
1.332 -0.447 0.801
11.000 -2.306 -1.542
0.705 -4.203 4.031
6.548 -0.261 -0.264
5.201 -6.217 2.845
```

- E (MP2020) (eV per atom) = -8.08
- energy of formation from the pure elements (meV/atom) = -2973.2
- space group = P1, No. 1


Q: What is the formula in the seventh record?
A: Ca4MnFe3Si10O30